No. 1
## Sr2NdNbO6 (PBE)

Data for Sr2NdNbO6 after structural relaxation.

Lattice parameters (Å, degrees): 8.523 8.523 8.523 90.00 90.00 90.00
Element x y z (fractional)
O  0.287  0.203  0.981
O  0.213  0.297  0.519
O  0.797  0.981  0.713
O  0.713  0.797  0.981
O  0.019  0.713  0.203
O  0.797  0.019  0.287
O  0.481  0.213  0.703
O  0.787  0.297  0.481
O  0.703  0.481  0.213
O  0.981  0.713  0.797
O  0.203  0.019  0.713
O  0.713  0.203  0.019
O  0.203  0.981  0.287
O  0.981  0.287  0.203
O  0.213  0.703  0.481
O  0.297  0.519  0.213
O  0.481  0.787  0.297
O  0.019  0.287  0.797
O  0.519  0.787  0.703
O  0.787  0.703  0.519
O  0.519  0.213  0.297
O  0.287  0.797  0.019
O  0.703  0.519  0.787
O  0.297  0.481  0.787
Nb  0.250  0.750  0.250
Nb  0.750  0.750  0.750
Nb  0.250  0.250  0.750
Nb  0.750  0.250  0.250
Sr  0.500  0.500  0.500
Sr  0.500  0.000  0.500
Sr  0.000  0.000  0.500
Sr  0.500  0.000  0.000
Sr  0.000  0.000  0.000
Sr  0.000  0.500  0.000
Sr  0.500  0.500  0.000
Sr  0.000  0.500  0.500
Nd  0.750  0.250  0.750
Nd  0.250  0.250  0.250
Nd  0.250  0.750  0.750
Nd  0.750  0.750  0.250

Space group: Pn-3
ΔE_f, eV/atom: -3.357

No. 2
## Mg149Cl (PBE)

Data for Mg149Cl after structural relaxation.

Lattice parameters (Å, degrees): 15.914 15.914 15.613 90.00 90.00 120.00
Element x y z (fractional)
Mg  0.067  0.333  0.833
Mg  0.067  0.933  0.168
Mg  0.867  0.533  0.500
Mg  0.667  0.133  0.834
Mg  0.467  0.533  0.500
Mg  0.200  0.400  0.667
Mg  0.800  0.000  0.334
Mg  0.466  0.333  0.166
Mg  0.267  0.533  0.834
Mg  0.867  0.534  0.166
Mg  0.867  0.133  0.167
Mg  0.000  0.000  0.668
Mg  0.000  0.000  0.332
Mg  0.400  0.400  0.333
Mg  0.267  0.134  0.500
Mg  0.067  0.534  0.167
Mg  0.200  0.800  0.000
Mg  0.067  0.734  0.167
Mg  0.000  0.400  0.333
Mg  0.267  0.933  0.500
Mg  0.866  0.733  0.500
Mg  0.867  0.933  0.500
Mg  0.600  0.201  0.000
Mg  0.400  0.800  0.333
Mg  0.267  0.533  0.500
Mg  0.201  0.600  0.000
Mg  0.467  0.733  0.166
Mg  0.800  0.600  0.000
Mg  0.400  0.800  0.667
Mg  0.000  0.800  0.334
Mg  0.866  0.933  0.832
Mg  0.067  0.334  0.500
Mg  0.400  0.200  0.667
Mg  0.067  0.734  0.833
Mg  0.466  0.933  0.167
Mg  0.667  0.333  0.834
Mg  0.667  0.333  0.500
Mg  0.800  0.400  0.667
Mg  0.800  0.600  0.667
Mg  0.200  0.400  0.333
Mg  0.600  0.400  0.000
Mg  0.266  0.933  0.167
Mg  0.800  0.800  0.666
Mg  0.200  0.200  0.666
Mg  0.266  0.133  0.167
Mg  0.999  0.797  0.000
Mg  0.800  0.000  0.666
Mg  0.266  0.333  0.833
Mg  0.200  0.400  0.000
Mg  0.667  0.734  0.167
Mg  0.600  0.000  0.667
Mg  0.867  0.734  0.833
Mg  0.800  0.400  0.333
Mg  0.067  0.933  0.500
Mg  0.600  0.400  0.333
Mg  0.798  0.797  0.000
Mg  0.800  0.600  0.333
Mg  0.867  0.734  0.167
Mg  0.400  0.200  0.000
Mg  0.999  0.202  0.000
Mg  0.400  0.600  0.000
Mg  0.466  0.133  0.166
Mg  0.600  0.800  0.667
Mg  0.667  0.933  0.833
Mg  0.800  0.200  0.667
Mg  0.666  0.933  0.500
Mg  0.600  0.800  0.000
Mg  0.067  0.733  0.500
Mg  0.000  0.200  0.666
Mg  0.467  0.133  0.500
Mg  0.867  0.333  0.834
Mg  0.267  0.733  0.834
Mg  0.599  0.000  0.000
Mg  0.400  0.799  0.000
Mg  0.400  0.600  0.667
Mg  0.667  0.533  0.500
Mg  0.667  0.133  0.500
Mg  0.067  0.134  0.168
Mg  0.267  0.533  0.166
Mg  0.267  0.334  0.500
Mg  0.667  0.534  0.166
Mg  0.667  0.534  0.834
Mg  0.067  0.133  0.500
Mg  0.600  0.600  0.333
Mg  0.867  0.534  0.834
Mg  0.867  0.333  0.500
Mg  0.466  0.534  0.167
Mg  0.799  0.400  0.000
Mg  0.400  0.000  0.333
Mg  0.267  0.733  0.166
Mg  0.466  0.534  0.833
Mg  0.200  0.200  0.334
Mg  0.000  0.401  0.000
Mg  0.267  0.733  0.500
Mg  0.200  0.800  0.667
Mg  0.067  0.533  0.500
Mg  0.800  0.800  0.334
Mg  0.400  0.200  0.333
Mg  0.200  0.000  0.334
Mg  0.000  0.600  0.333
Mg  0.600  0.400  0.667
Mg  0.866  0.933  0.168
Mg  0.599  0.599  0.000
Mg  0.667  0.933  0.167
Mg  0.266  0.133  0.833
Mg  0.000  0.599  0.000
Mg  0.466  0.933  0.833
Mg  0.067  0.933  0.832
Mg  0.867  0.133  0.833
Mg  0.600  0.200  0.333
Mg  0.200  0.600  0.667
Mg  0.000  0.600  0.667
Mg  0.866  0.134  0.500
Mg  0.600  0.800  0.333
Mg  0.467  0.733  0.500
Mg  0.266  0.333  0.167
Mg  0.800  0.200  0.000
Mg  0.200  0.000  0.666
Mg  0.466  0.333  0.834
Mg  0.067  0.333  0.167
Mg  0.401  0.401  0.000
Mg  0.467  0.933  0.500
Mg  0.067  0.534  0.833
Mg  0.200  0.800  0.333
Mg  0.000  0.200  0.334
Mg  0.400  0.600  0.333
Mg  0.203  0.202  0.000
Mg  0.203  0.001  0.000
Mg  0.200  0.600  0.333
Mg  0.266  0.933  0.833
Mg  0.000  0.400  0.667
Mg  0.400  0.000  0.667
Mg  0.667  0.333  0.166
Mg  0.666  0.733  0.500
Mg  0.600  0.200  0.667
Mg  0.467  0.333  0.500
Mg  0.867  0.333  0.166
Mg  0.401  0.000  0.000
Mg  0.400  0.400  0.667
Mg  0.467  0.733  0.834
Mg  0.067  0.134  0.832
Mg  0.667  0.133  0.166
Mg  0.466  0.133  0.834
Mg  0.600  0.600  0.667
Mg  0.000  0.800  0.666
Mg  0.800  0.200  0.333
Mg  0.798  0.001  0.000
Mg  0.667  0.734  0.833
Mg  0.600  0.000  0.333
Cl  0.000  0.000  0.000

Space group: P-6m2
ΔE_f, eV/atom: -0.033

No. 3
## TaAs (PBE)

Data for TaAs after structural relaxation.

Lattice parameters (Å, degrees): 3.470 3.470 6.360 105.83 105.83 90.00
Element x y z (fractional)
As  0.418  0.918  0.836
As  0.168  0.168  0.336
Ta  0.000  0.500  0.000
Ta  0.750  0.750  0.500

Space group: I4_1md
ΔE_f, eV/atom: -0.543

The highest ΔE_f belongs to which entry? Mg149Cl

The lowest ΔE_f belongs to which entry? Sr2NdNbO6

Look up the ΔE_f of the third one. -0.543 eV/atom

Which formula does entry 1 have? Sr2NdNbO6